Entry from the Materials Project database: a relaxed Mg3Ga crystal (GGA-PBE).

a b c (Å): 4.351 4.351 4.351
angles (deg): 90.00 90.00 90.00
Fractional positions:
Mg 0.000 0.000 0.500
Mg 0.000 0.500 0.000
Mg 0.500 0.000 0.000
Ga 0.500 0.500 0.500

Its formation energy is -0.085 eV/atom.


Entry from the Materials Project database: a relaxed Tm2Ge6Pd crystal (GGA-PBE).

a b c (Å): 4.067 11.115 11.115
angles (deg): 20.89 90.00 90.00
Fractional positions:
Tm 0.000 0.000 0.000
Tm 0.000 0.341 0.341
Ge 0.000 0.601 0.601
Ge 0.000 0.716 0.716
Ge 0.500 0.100 0.100
Ge 0.500 0.214 0.214
Ge 0.500 0.466 0.466
Ge 0.500 0.893 0.893
Pd 0.500 0.782 0.782

Its formation energy is -0.474 eV/atom.


Entry from the Materials Project database: a relaxed Er7Te2Ir2 crystal (GGA-PBE).

a b c (Å): 9.345 9.345 9.345
angles (deg): 155.77 66.29 119.36
Fractional positions:
Er 0.000 0.000 0.000
Er 0.060 0.375 0.685
Er 0.086 0.732 0.354
Er 0.378 0.732 0.646
Er 0.453 0.585 0.868
Er 0.691 0.375 0.315
Er 0.717 0.585 0.132
Te 0.338 0.338 0.000
Te 0.736 0.236 0.500
Ir 0.311 0.074 0.238
Ir 0.836 0.074 0.762

Its formation energy is -0.930 eV/atom.


Entry from the Materials Project database: a relaxed Ca3Zr17O37 crystal (GGA-PBE).

a b c (Å): 60.654 60.654 60.654
angles (deg): 3.45 3.45 3.45
Fractional positions:
Ca 0.000 0.000 0.000
Ca 0.051 0.051 0.051
Ca 0.350 0.350 0.350
Zr 0.099 0.099 0.099
Zr 0.149 0.149 0.149
Zr 0.199 0.199 0.199
Zr 0.249 0.249 0.249
Zr 0.299 0.299 0.299
Zr 0.399 0.399 0.399
Zr 0.449 0.449 0.449
Zr 0.499 0.499 0.499
Zr 0.549 0.549 0.549
Zr 0.599 0.599 0.599
Zr 0.648 0.648 0.648
Zr 0.699 0.699 0.699
Zr 0.749 0.749 0.749
Zr 0.799 0.799 0.799
Zr 0.849 0.849 0.849
Zr 0.899 0.899 0.899
Zr 0.949 0.949 0.949
O 0.032 0.032 0.032
O 0.064 0.064 0.064
O 0.087 0.087 0.087
O 0.112 0.112 0.112
O 0.137 0.137 0.137
O 0.162 0.162 0.162
O 0.187 0.187 0.187
O 0.212 0.212 0.212
O 0.237 0.237 0.237
O 0.262 0.262 0.262
O 0.287 0.287 0.287
O 0.312 0.312 0.312
O 0.337 0.337 0.337
O 0.388 0.388 0.388
O 0.413 0.413 0.413
O 0.437 0.437 0.437
O 0.462 0.462 0.462
O 0.487 0.487 0.487
O 0.512 0.512 0.512
O 0.537 0.537 0.537
O 0.562 0.562 0.562
O 0.587 0.587 0.587
O 0.612 0.612 0.612
O 0.637 0.637 0.637
O 0.687 0.687 0.687
O 0.710 0.710 0.710
O 0.738 0.738 0.738
O 0.762 0.762 0.762
O 0.787 0.787 0.787
O 0.812 0.812 0.812
O 0.837 0.837 0.837
O 0.862 0.862 0.862
O 0.887 0.887 0.887
O 0.912 0.912 0.912
O 0.937 0.937 0.937
O 0.962 0.962 0.962
O 0.987 0.987 0.987

Its formation energy is -3.634 eV/atom.


Entry from the Materials Project database: a relaxed La2GeI2 crystal (GGA-PBE).

a b c (Å): 4.499 4.499 11.038
angles (deg): 90.00 90.00 120.00
Fractional positions:
La 0.333 0.667 0.347
La 0.667 0.333 0.653
Ge 0.000 0.000 0.500
I 0.333 0.667 0.839
I 0.667 0.333 0.161

Its formation energy is -1.445 eV/atom.


Entry from the Materials Project database: a relaxed Ca2Nb4Si3S6O36 crystal (GGA-PBE).

a b c (Å): 9.045 9.045 23.033
angles (deg): 90.32 90.32 60.16
Fractional positions:
Ca 0.000 0.000 0.000
Ca 0.000 0.000 0.500
Ca 0.662 0.674 0.823
Ca 0.674 0.662 0.323
Nb 0.015 0.983 0.708
Nb 0.322 0.344 0.163
Nb 0.328 0.333 0.379
Nb 0.333 0.328 0.879
Nb 0.344 0.322 0.663
Nb 0.662 0.673 0.546
Nb 0.673 0.662 0.046
Nb 0.983 0.015 0.208
Si 0.062 0.314 0.270
Si 0.292 0.706 0.604
Si 0.314 0.062 0.770
Si 0.706 0.292 0.104
Si 0.720 0.999 0.603
Si 0.999 0.720 0.103
S 0.066 0.620 0.771
S 0.299 0.998 0.105
S 0.315 0.623 0.271
S 0.391 0.656 0.936
S 0.393 0.960 0.437
S 0.620 0.066 0.271
S 0.623 0.315 0.771
S 0.656 0.391 0.436
S 0.657 0.961 0.937
S 0.960 0.393 0.937
S 0.961 0.657 0.437
S 0.998 0.299 0.605
O 0.003 0.218 0.947
O 0.046 0.196 0.553
O 0.052 0.795 0.765
O 0.057 0.771 0.046
O 0.060 0.133 0.259
O 0.132 0.393 0.931
O 0.133 0.060 0.759
O 0.136 0.342 0.619
O 0.141 0.489 0.429
O 0.145 0.522 0.122
O 0.152 0.522 0.719
O 0.156 0.787 0.264
O 0.174 0.543 0.824
O 0.177 0.322 0.217
O 0.183 0.777 0.548
O 0.188 0.291 0.329
O 0.196 0.046 0.053
O 0.202 0.840 0.662
O 0.218 0.003 0.447
O 0.220 0.965 0.156
O 0.221 0.798 0.944
O 0.291 0.188 0.829
O 0.297 0.535 0.324
O 0.322 0.177 0.717
O 0.331 0.518 0.625
O 0.340 0.513 0.219
O 0.342 0.136 0.119
O 0.382 0.492 0.929
O 0.393 0.132 0.431
O 0.463 0.644 0.276
O 0.467 0.861 0.385
O 0.469 0.839 0.095
O 0.471 0.675 0.885
O 0.477 0.882 0.773
O 0.485 0.691 0.592
O 0.489 0.141 0.929
O 0.492 0.382 0.429
O 0.502 0.631 0.989
O 0.504 0.875 0.490
O 0.513 0.340 0.719
O 0.518 0.331 0.125
O 0.522 0.145 0.622
O 0.522 0.152 0.219
O 0.535 0.297 0.824
O 0.543 0.174 0.324
O 0.625 0.885 0.989
O 0.631 0.502 0.489
O 0.640 0.899 0.276
O 0.644 0.463 0.776
O 0.674 0.864 0.885
O 0.675 0.471 0.385
O 0.691 0.485 0.092
O 0.703 0.823 0.590
O 0.771 0.057 0.546
O 0.777 0.183 0.048
O 0.787 0.156 0.764
O 0.793 0.998 0.943
O 0.795 0.052 0.265
O 0.798 0.221 0.444
O 0.823 0.703 0.090
O 0.839 0.469 0.595
O 0.840 0.202 0.162
O 0.844 0.968 0.660
O 0.861 0.467 0.885
O 0.864 0.674 0.385
O 0.875 0.504 0.990
O 0.882 0.477 0.273
O 0.885 0.625 0.489
O 0.899 0.640 0.776
O 0.965 0.220 0.656
O 0.968 0.844 0.160
O 0.998 0.793 0.443

Its formation energy is -2.523 eV/atom.


Entry from the Materials Project database: a relaxed YGaRh2 crystal (GGA-PBE).

a b c (Å): 6.464 6.464 6.464
angles (deg): 90.00 90.00 90.00
Fractional positions:
Y 0.000 0.000 0.000
Y 0.000 0.500 0.500
Y 0.500 0.000 0.500
Y 0.500 0.500 0.000
Ga 0.000 0.000 0.500
Ga 0.000 0.500 0.000
Ga 0.500 0.000 0.000
Ga 0.500 0.500 0.500
Rh 0.250 0.250 0.250
Rh 0.250 0.250 0.750
Rh 0.250 0.750 0.250
Rh 0.250 0.750 0.750
Rh 0.750 0.250 0.250
Rh 0.750 0.250 0.750
Rh 0.750 0.750 0.250
Rh 0.750 0.750 0.750

Its formation energy is -0.786 eV/atom.


Entry from the Materials Project database: a relaxed KCrN2 crystal (GGA-PBE).

a b c (Å): 5.725 11.485 15.688
angles (deg): 90.00 90.00 90.00
Fractional positions:
K 0.146 0.249 0.192
K 0.146 0.251 0.692
K 0.248 0.000 0.067
K 0.248 0.500 0.567
K 0.252 0.000 0.567
K 0.252 0.500 0.067
K 0.354 0.749 0.192
K 0.354 0.751 0.692
K 0.646 0.249 0.308
K 0.646 0.251 0.808
K 0.748 0.000 0.433
K 0.748 0.500 0.933
K 0.752 0.000 0.933
K 0.752 0.500 0.433
K 0.854 0.749 0.308
K 0.854 0.751 0.808
Cr 0.184 0.249 0.442
Cr 0.184 0.251 0.942
Cr 0.247 0.501 0.815
Cr 0.247 0.999 0.315
Cr 0.253 0.001 0.815
Cr 0.253 0.499 0.315
Cr 0.316 0.749 0.442
Cr 0.316 0.751 0.942
Cr 0.684 0.249 0.058
Cr 0.684 0.251 0.558
Cr 0.747 0.501 0.685
Cr 0.747 0.999 0.185
Cr 0.753 0.001 0.685
Cr 0.753 0.499 0.185
Cr 0.816 0.749 0.058
Cr 0.816 0.751 0.558
N 0.007 0.000 0.748
N 0.007 0.500 0.248
N 0.117 0.749 0.029
N 0.117 0.751 0.529
N 0.240 0.126 0.879
N 0.240 0.374 0.379
N 0.241 0.123 0.381
N 0.241 0.377 0.881
N 0.259 0.623 0.381
N 0.259 0.877 0.881
N 0.260 0.626 0.879
N 0.260 0.874 0.379
N 0.383 0.249 0.029
N 0.383 0.251 0.529
N 0.493 0.000 0.248
N 0.493 0.500 0.748
N 0.507 0.000 0.752
N 0.507 0.500 0.252
N 0.617 0.749 0.471
N 0.617 0.751 0.971
N 0.740 0.126 0.621
N 0.740 0.374 0.121
N 0.741 0.123 0.119
N 0.741 0.377 0.619
N 0.759 0.623 0.119
N 0.759 0.877 0.619
N 0.760 0.626 0.621
N 0.760 0.874 0.121
N 0.883 0.249 0.471
N 0.883 0.251 0.971
N 0.993 0.000 0.252
N 0.993 0.500 0.752

Its formation energy is -0.646 eV/atom.